No. 1
Compound: TbZrSb
Source: Materials Project
Functional: meta-GGA r2SCAN
Structure: relaxed

Output
Space-group type: I4/mmm

a b c (Å): 8.868 8.868 8.868
angles (deg): 152.07 152.07 39.91
Positions (direct):
Tb: 0.176 0.176 0.000
Tb: 0.824 0.824 0.000
Zr: 0.000 0.500 0.500
Zr: 0.500 0.000 0.500
Sb: 0.367 0.367 0.000
Sb: 0.633 0.633 0.000

---

No. 2
Compound: Sb2Te3
Source: Materials Project
Functional: meta-GGA r2SCAN
Structure: relaxed

Output
Space-group type: R-3m

a b c (Å): 10.880 10.880 10.880
angles (deg): 22.82 22.82 22.82
Positions (direct):
Sb: 0.104 0.104 0.104
Sb: 0.896 0.896 0.896
Te: 0.283 0.283 0.283
Te: 0.500 0.500 0.500
Te: 0.717 0.717 0.717

---

No. 3
Compound: SbTe
Source: Materials Project
Functional: meta-GGA r2SCAN
Structure: relaxed

Output
Space-group type: P-3m1

a b c (Å): 4.312 4.312 24.902
angles (deg): 90.00 90.00 120.00
Positions (direct):
Sb: 0.000 0.000 0.132
Sb: 0.000 0.000 0.868
Sb: 0.333 0.667 0.291
Sb: 0.333 0.667 0.531
Sb: 0.667 0.333 0.469
Sb: 0.667 0.333 0.709
Te: 0.000 0.000 0.360
Te: 0.000 0.000 0.640
Te: 0.333 0.667 0.065
Te: 0.333 0.667 0.788
Te: 0.667 0.333 0.212
Te: 0.667 0.333 0.935

---

Number 1: energy relative to the elements -0.93 eV/atom, density 8.09 Mg/m³, calculated total energy -27.496 eV per atom. Number 2: energy relative to the elements -0.13 eV/atom, density 6.12 Mg/m³, calculated total energy -25.665 eV per atom. Number 3: energy relative to the elements -0.10 eV/atom, density 6.20 Mg/m³, calculated total energy -25.666 eV per atom.